GGA-PBE Ce6MnSb15, relaxed; space-group type = Cm, No. 8; magnetization = 7.7 μB per formula unit; total energy = -120.030 eV for the cell shown; calculated formation energy = -16.21 eV per formula unit
1.0
-1.403 -7.705 9.674
3.926 -7.697 -8.959
4.151 -0.490 1.187
Ce Mn Sb
6 1 15
direct
0.325 0.679 0.920
0.679 0.325 0.920
0.271 0.009 0.784
0.726 0.990 0.068
0.990 0.726 0.068
0.009 0.271 0.784
0.277 0.277 0.648
0.162 0.162 0.261
0.844 0.844 0.589
0.480 0.246 0.558
0.536 0.749 0.279
0.749 0.536 0.279
0.246 0.480 0.558
0.400 0.400 0.024
0.597 0.597 0.824
0.513 0.915 0.708
0.489 0.078 0.138
0.078 0.489 0.138
0.915 0.513 0.708
0.197 0.801 0.425
0.801 0.197 0.425
0.992 0.992 0.965



GGA-PBE Sr2ZnReO6, relaxed; space-group type = I4/m, No. 87; magnetization = 1.0 μB per formula unit; total energy = -68.223 eV for the cell shown; calculated formation energy = -25.57 eV per formula unit
1.0
1.004 2.454 5.028
-4.515 3.389 -0.663
-0.550 -5.644 -0.393
Sr Zn Re O
2 1 1 6
direct
0.250 0.750 0.500
0.750 0.250 0.500
0.000 0.000 0.000
0.500 0.500 0.000
0.260 0.260 0.000
0.740 0.740 0.000
0.223 0.298 0.521
0.777 0.702 0.479
0.702 0.223 0.925
0.298 0.777 0.075



GGA-PBE In2O3, relaxed; space-group type = Pnma, No. 62; magnetization = 0.0 μB per formula unit; total energy = -108.163 eV for the cell shown; calculated formation energy = -8.75 eV per formula unit
1.0
-2.054 1.938 1.478
3.424 -2.120 7.537
5.789 6.703 -0.745
In O
8 12
direct
0.250 0.815 0.488
0.250 0.315 0.012
0.750 0.185 0.512
0.750 0.685 0.988
0.250 0.992 0.813
0.250 0.492 0.687
0.750 0.008 0.187
0.750 0.508 0.313
0.250 0.724 0.820
0.250 0.224 0.680
0.750 0.276 0.180
0.750 0.776 0.320
0.250 0.054 0.372
0.250 0.554 0.128
0.750 0.946 0.628
0.750 0.446 0.872
0.250 0.387 0.439
0.250 0.887 0.061
0.750 0.613 0.561
0.750 0.113 0.939